Compound: PrAl2Ni3
Source: Materials Project
Functional: r²SCAN
Structure: relaxed

Cell lengths 5.3219, 5.3219, 3.7618 Å; angles 90.00, 90.00, 120.00 degrees
With the nearest neighbours (Å) after each atom.
Fractional positions:
Pr: 0.0000 0.0000 0.0000  6 Al 3.07, 12 Ni 3.26
Al: 0.3333 0.6667 0.0000  6 Ni 2.43
Al: 0.6667 0.3333 0.0000  6 Ni 2.43
Ni: 0.5000 0.0000 0.5000  4 Al 2.43, 4 Ni 2.66
Ni: 0.5000 0.5000 0.5000  4 Al 2.43, 4 Ni 2.66
Ni: 0.0000 0.5000 0.5000  4 Al 2.43, 4 Ni 2.66

Output
SG: No. 191

Compound: ErSiIr
Source: Materials Project
Functional: r²SCAN
Structure: relaxed

Cell lengths 4.1945, 6.7783, 7.3741 Å; angles 90.00, 90.00, 90.00 degrees
With the nearest neighbours (Å) after each atom.
Fractional positions:
Er: 0.7500 0.5013 0.1877  5 Si 2.91-2.98, 6 Ir 2.97-3.25
Er: 0.2500 0.9987 0.6877  5 Si 2.91-2.98, 6 Ir 2.97-3.25
Er: 0.7500 0.0013 0.3123  5 Si 2.91-2.98, 6 Ir 2.97-3.25
Er: 0.2500 0.4987 0.8123  5 Si 2.91-2.98, 6 Ir 2.97-3.25
Si: 0.2500 0.7022 0.3887  4 Ir 2.46-2.56
Si: 0.2500 0.2022 0.1113  4 Ir 2.46-2.56
Si: 0.7500 0.2978 0.6113  4 Ir 2.46-2.56
Si: 0.7500 0.7978 0.8887  4 Ir 2.46-2.56
Ir: 0.2500 0.8430 0.0659  4 Si 2.46-2.56
Ir: 0.2500 0.3430 0.4341  4 Si 2.46-2.56
Ir: 0.7500 0.6570 0.5659  4 Si 2.46-2.56
Ir: 0.7500 0.1570 0.9341  4 Si 2.46-2.56

Output
SG: No. 62

Compound: Hg2P2O7
Source: Materials Project
Functional: r²SCAN
Structure: relaxed

Cell lengths 6.7457, 6.8873, 7.0519 Å; angles 78.67, 66.87, 80.22 degrees
With the nearest neighbours (Å) after each atom.
Fractional positions:
Hg: 0.1021 0.1735 0.2462  4 O 2.23-2.36
Hg: 0.8979 0.8265 0.7538  4 O 2.23-2.36
Hg: 0.3027 0.3184 0.6286  2 O 2.15-2.16
Hg: 0.6973 0.6816 0.3714  2 O 2.15-2.16
P: 0.2150 0.6593 0.2617  4 O 1.51-1.60
P: 0.7850 0.3407 0.7383  4 O 1.51-1.60
P: 0.3607 0.8691 0.8296  4 O 1.50-1.60
P: 0.6393 0.1309 0.1704  4 O 1.50-1.60
O: 0.2293 0.7593 0.7646  1 P 1.50
O: 0.7707 0.2407 0.2354  1 P 1.50
O: 0.0845 0.5180 0.2309  1 P 1.51
O: 0.9155 0.4820 0.7691  1 P 1.51
O: 0.2540 0.0792 0.8841  1 P 1.55
O: 0.7460 0.9208 0.1159  1 P 1.55
O: 0.3703 0.5577 0.3703  1 P 1.53
O: 0.6297 0.4423 0.6297  1 P 1.53
O: 0.6169 0.2500 0.9590  2 P 1.60
O: 0.3831 0.7500 0.0410  2 P 1.60
O: 0.9350 0.1683 0.6364  1 P 1.52
O: 0.0650 0.8317 0.3636  1 P 1.52
O: 0.4070 0.1225 0.3247  1 P 1.52
O: 0.5930 0.8775 0.6753  1 P 1.52

Output
SG: No. 2

Compound: UCrS3
Source: Materials Project
Functional: r²SCAN
Structure: relaxed

Cell lengths 6.2000, 7.1226, 8.9254 Å; angles 90.00, 90.00, 90.00 degrees
With the nearest neighbours (Å) after each atom.
Fractional positions:
U: 0.9511 0.3893 0.2500  6 S 2.73-2.87
U: 0.4511 0.1107 0.7500  6 S 2.73-2.87
U: 0.5489 0.8893 0.2500  6 S 2.73-2.87
U: 0.0489 0.6107 0.7500  6 S 2.73-2.87
Cr: 0.0000 0.0000 0.0000  6 S 2.40-2.55
Cr: 0.0000 0.0000 0.5000  6 S 2.40-2.55
Cr: 0.5000 0.5000 0.5000  6 S 2.40-2.55
Cr: 0.5000 0.5000 0.0000  6 S 2.40-2.55
S: 0.3314 0.8182 0.9429  2 Cr 2.48-2.55
S: 0.1686 0.3182 0.9429  2 Cr 2.48-2.55
S: 0.6686 0.1818 0.0571  2 Cr 2.48-2.55
S: 0.3314 0.8182 0.5571  2 Cr 2.48-2.55
S: 0.1361 0.0421 0.2500  2 Cr 2.40
S: 0.6361 0.4579 0.7500  2 Cr 2.40
S: 0.3639 0.5421 0.2500  2 Cr 2.40
S: 0.8639 0.9579 0.7500  2 Cr 2.40
S: 0.1686 0.3182 0.5571  2 Cr 2.48-2.55
S: 0.6686 0.1818 0.4429  2 Cr 2.48-2.55
S: 0.8314 0.6818 0.0571  2 Cr 2.48-2.55
S: 0.8314 0.6818 0.4429  2 Cr 2.48-2.55

Output
SG: No. 62

Compound: SrSc2S4
Source: Materials Project
Functional: r²SCAN
Structure: relaxed

Cell lengths 3.7995, 11.6971, 13.7271 Å; angles 90.00, 90.00, 90.00 degrees
With the nearest neighbours (Å) after each atom.
Fractional positions:
Sr: 0.2500 0.2391 0.3335  8 S 3.02-3.19
Sr: 0.7500 0.7609 0.6665  8 S 3.02-3.19
Sr: 0.2500 0.7391 0.1665  8 S 3.02-3.19
Sr: 0.7500 0.2609 0.8335  8 S 3.02-3.19
Sc: 0.2500 0.5600 0.3906  6 S 2.55-2.63
Sc: 0.7500 0.4400 0.6094  6 S 2.55-2.63
Sc: 0.2500 0.0600 0.1094  6 S 2.55-2.63
Sc: 0.7500 0.9400 0.8906  6 S 2.55-2.63
Sc: 0.2500 0.5809 0.9015  6 S 2.57-2.66
Sc: 0.7500 0.4191 0.0985  6 S 2.57-2.66
Sc: 0.2500 0.0809 0.5985  6 S 2.57-2.66
Sc: 0.7500 0.9191 0.4015  6 S 2.57-2.66
S: 0.2500 0.5863 0.5749  3 Sc 2.55-2.60
S: 0.7500 0.4137 0.4251  3 Sc 2.55-2.60
S: 0.2500 0.0863 0.9251  3 Sc 2.55-2.60
S: 0.7500 0.9137 0.0749  3 Sc 2.55-2.60
S: 0.2500 0.4723 0.2156  3 Sc 2.57-2.61
S: 0.7500 0.5277 0.7844  3 Sc 2.57-2.61
S: 0.2500 0.9723 0.2844  3 Sc 2.57-2.61
S: 0.7500 0.0277 0.7156  3 Sc 2.57-2.61
S: 0.2500 0.8774 0.5267  3 Sc 2.58-2.61
S: 0.7500 0.1226 0.4733  3 Sc 2.58-2.61
S: 0.2500 0.3774 0.9733  3 Sc 2.58-2.61
S: 0.7500 0.6226 0.0267  3 Sc 2.58-2.61
S: 0.7500 0.7038 0.3399  3 Sc 2.63-2.66
S: 0.2500 0.2962 0.6601  3 Sc 2.63-2.66
S: 0.7500 0.2038 0.1601  3 Sc 2.63-2.66
S: 0.2500 0.7962 0.8399  3 Sc 2.63-2.66

Output
SG: No. 62

Compound: ThUS2
Source: Materials Project
Functional: r²SCAN
Structure: relaxed

Cell lengths 6.8740, 6.8740, 6.8740 Å; angles 34.10, 34.10, 34.10 degrees
With the nearest neighbours (Å) after each atom.
Fractional positions:
Th: 0.0000 0.0000 0.0000  6 S 2.86
U: 0.5000 0.5000 0.5000  6 S 2.81
S: 0.2479 0.2479 0.2479  3 U 2.81, 3 Th 2.86
S: 0.7521 0.7521 0.7521  3 U 2.81, 3 Th 2.86

Output
SG: No. 166

Compound: PaGaAu2
Source: Materials Project
Functional: r²SCAN
Structure: relaxed

Cell lengths 4.8571, 4.8570, 4.8569 Å; angles 59.97, 59.97, 59.97 degrees
With the nearest neighbours (Å) after each atom.
Fractional positions:
Pa: 0.7500 0.7500 0.7500  8 Au 2.97
Ga: 0.2500 0.2500 0.2500  8 Au 2.97-2.98
Au: 0.5000 0.5000 0.5000  4 Ga 2.97-2.98, 4 Pa 2.97
Au: 0.0000 0.0000 0.0000  4 Ga 2.97-2.98, 4 Pa 2.97

Output
SG: No. 225

Number 1: energy relative to the elements -0.52 eV/atom, total magnetic moment 0.00 μB per cell. Number 2: energy relative to the elements -1.20 eV/atom, total magnetic moment 0.00 μB per cell. Number 3: energy relative to the elements -1.70 eV/atom, total magnetic moment 0.00 μB per cell. Number 4: energy relative to the elements -1.49 eV/atom, total magnetic moment 24.00 μB per cell. Number 5: energy relative to the elements -2.28 eV/atom, total magnetic moment 0.00 μB per cell. Number 6: energy relative to the elements -1.88 eV/atom, total magnetic moment 2.94 μB per cell. Number 7: energy relative to the elements -0.42 eV/atom, total magnetic moment 0.00 μB per cell.